(i)
DFT (PBE+U) results for Si2NiO6 after structural relaxation.

POSCAR file:
```
Si2NiO6
1.0
5.053 0.002 -0.002
0.006 11.308 0.009
-0.006 0.012 18.402
O Ni Si
48 8 16
direct
0.195 0.065 0.423
0.958 0.718 0.532
0.312 0.063 0.928
0.287 0.940 0.677
0.345 0.218 0.280
0.154 0.719 0.721
0.458 0.783 0.529
0.656 0.281 0.782
0.846 0.281 0.280
0.844 0.780 0.219
0.452 0.283 0.969
0.044 0.281 0.469
0.812 0.437 0.928
0.275 0.127 0.068
0.317 0.565 0.575
0.792 0.560 0.677
0.041 0.781 0.032
0.542 0.717 0.031
0.689 0.437 0.428
0.175 0.889 0.311
0.825 0.113 0.688
0.211 0.439 0.324
0.809 0.937 0.575
0.721 0.873 0.932
0.711 0.060 0.323
0.653 0.781 0.720
0.544 0.219 0.468
0.675 0.112 0.187
0.952 0.217 0.969
0.775 0.373 0.068
0.325 0.891 0.812
0.275 0.624 0.434
0.219 0.629 0.932
0.207 0.939 0.175
0.675 0.613 0.313
0.725 0.373 0.568
0.187 0.562 0.072
0.344 0.718 0.219
0.290 0.440 0.823
0.235 0.119 0.565
0.786 0.878 0.435
0.822 0.610 0.812
0.325 0.387 0.688
0.156 0.218 0.782
0.708 0.559 0.177
0.686 0.937 0.072
0.791 0.060 0.824
0.177 0.390 0.188
0.543 0.474 0.626
0.957 0.475 0.125
0.460 0.525 0.375
0.541 0.976 0.875
0.039 0.028 0.625
0.458 0.025 0.125
0.963 0.976 0.373
0.041 0.524 0.875
0.241 0.670 0.016
0.760 0.831 0.518
0.856 0.169 0.769
0.353 0.831 0.731
0.146 0.331 0.269
0.744 0.329 0.484
0.254 0.171 0.984
0.245 0.170 0.483
0.644 0.669 0.231
0.356 0.330 0.769
0.853 0.669 0.732
0.144 0.830 0.230
0.741 0.829 0.016
0.646 0.169 0.268
0.259 0.671 0.517
0.754 0.329 0.984
```

Results
Total magnetic moment: 32.00 μB per cell

***

(ii)
DFT (PBE+U) results for Si2NiO6 after structural relaxation.

POSCAR file:
```
Si2NiO6
1.0
5.106 0.000 0.000
0.000 10.735 0.000
0.000 0.000 18.449
O Si Ni
48 16 8
direct
0.312 0.459 0.678
0.827 0.282 0.203
0.265 0.640 0.060
0.357 0.867 0.691
0.765 0.360 0.440
0.324 0.545 0.926
0.824 0.455 0.574
0.676 0.455 0.074
0.735 0.860 0.560
0.035 0.283 0.047
0.673 0.282 0.703
0.324 0.045 0.574
0.673 0.782 0.797
0.035 0.783 0.453
0.188 0.459 0.178
0.857 0.133 0.809
0.688 0.541 0.322
0.765 0.860 0.060
0.235 0.640 0.560
0.312 0.959 0.822
0.327 0.218 0.203
0.965 0.217 0.547
0.688 0.041 0.178
0.265 0.140 0.440
0.857 0.633 0.691
0.676 0.955 0.426
0.465 0.283 0.547
0.176 0.545 0.426
0.327 0.718 0.297
0.143 0.867 0.191
0.188 0.959 0.322
0.643 0.633 0.191
0.965 0.717 0.953
0.812 0.041 0.678
0.465 0.783 0.953
0.735 0.360 0.940
0.643 0.133 0.309
0.535 0.717 0.453
0.173 0.718 0.797
0.812 0.541 0.822
0.535 0.217 0.047
0.176 0.045 0.074
0.827 0.782 0.297
0.824 0.955 0.926
0.357 0.367 0.809
0.173 0.218 0.703
0.235 0.140 0.940
0.143 0.367 0.309
0.761 0.829 0.973
0.121 0.331 0.223
0.261 0.671 0.973
0.621 0.169 0.223
0.879 0.169 0.723
0.879 0.669 0.777
0.121 0.831 0.277
0.739 0.329 0.027
0.261 0.171 0.527
0.739 0.829 0.473
0.239 0.671 0.473
0.239 0.171 0.027
0.761 0.329 0.527
0.379 0.831 0.777
0.621 0.669 0.277
0.379 0.331 0.723
0.438 0.544 0.126
0.562 0.456 0.874
0.562 0.956 0.626
0.062 0.544 0.626
0.938 0.456 0.374
0.938 0.956 0.126
0.062 0.044 0.874
0.438 0.044 0.374
```

Results
Total magnetic moment: 32.00 μB per cell

***

Here are the energies relative to the best structure, in meV per atom: (i) 0; (ii) 11.

***

(i)
DFT (PBE+U) results for MgCo6O8F4 after structural relaxation.

POSCAR file:
```
MgCo6O8F4
1.0
-5.411 5.581 2.888
-0.598 5.017 -2.975
-4.852 0.614 -2.968
F Co O Mg
4 6 8 1
direct
0.707 0.136 0.085
0.960 0.225 0.239
0.312 0.873 0.914
0.620 0.561 0.585
0.293 0.640 0.619
0.125 0.317 0.326
0.007 0.991 0.993
0.886 0.693 0.692
0.675 0.335 0.357
0.489 0.993 0.994
0.676 0.030 0.652
0.032 0.780 0.781
0.419 0.426 0.402
0.311 0.962 0.353
0.324 0.364 0.961
0.007 0.691 0.311
0.672 0.635 0.031
0.014 0.310 0.696
0.505 0.501 0.976
```

Results
Total magnetic moment: 16.00 μB per cell

***

(ii)
DFT (PBE+U) results for MgCo6O8F4 after structural relaxation.

POSCAR file:
```
MgCo6O8F4
1.0
-4.934 0.568 -0.001
-0.555 5.007 -5.775
0.561 -5.020 -2.892
Mg F Co O
1 4 6 8
direct
0.488 0.333 0.313
0.157 0.884 0.738
0.189 0.539 0.379
0.183 0.235 0.073
0.801 0.770 0.962
0.984 0.652 0.674
0.979 0.002 0.023
0.528 0.685 0.145
0.986 0.330 0.343
0.503 0.996 0.507
0.547 0.347 0.806
0.697 0.767 0.460
0.796 0.434 0.592
0.303 0.901 0.211
0.693 0.440 0.126
0.806 0.130 0.279
0.702 0.105 0.795
0.313 0.567 0.860
0.315 0.231 0.536
```

Results
Total magnetic moment: 14.00 μB per cell

***

Here are the energies relative to the best structure, in meV per atom: (i) 0; (ii) 19.

***

(i)
DFT (PBE+U) results for MgV4O7F5 after structural relaxation.

POSCAR file:
```
MgV4O7F5
1.0
-5.280 -0.020 0.009
-2.660 -4.679 -0.108
-0.024 -2.590 8.318
O V Mg F
7 4 1 5
direct
0.450 0.748 0.681
0.552 0.747 0.376
0.080 0.225 0.429
0.461 0.232 0.632
0.018 0.734 0.870
0.961 0.227 0.132
0.452 0.739 0.060
0.038 0.979 0.023
0.243 0.544 0.737
0.434 0.029 0.501
0.718 0.515 0.255
0.576 0.884 0.854
0.553 0.255 0.328
0.953 0.710 0.178
0.114 0.210 0.830
0.587 0.222 0.920
0.937 0.763 0.563
```

Results
Total magnetic moment: 3.00 μB per cell

***

(ii)
DFT (PBE+U) results for MgV4O7F5 after structural relaxation.

POSCAR file:
```
MgV4O7F5
1.0
-5.249 -0.018 -0.060
-0.027 5.918 -4.086
-0.059 -3.421 -4.407
Mg F O V
1 5 7 4
direct
0.008 0.718 0.601
0.794 0.943 0.709
0.826 0.574 0.313
0.218 0.056 0.288
0.184 0.453 0.659
0.729 0.564 0.762
0.330 0.447 0.180
0.380 0.738 0.491
0.281 0.044 0.781
0.084 0.742 0.970
0.580 0.268 0.505
0.729 0.958 0.237
0.914 0.264 0.009
0.021 0.490 0.993
0.967 0.998 0.040
0.488 0.488 0.438
0.467 0.005 0.534
```

Results
Total magnetic moment: 3.00 μB per cell

***

Here are the energies relative to the best structure, in meV per atom: (i) 0; (ii) 60.

***

(i)
DFT (PBE+U) results for MgV4O7F5 after structural relaxation.

POSCAR file:
```
MgV4O7F5
1.0
3.144 3.055 2.914
5.857 -2.932 -3.138
-0.174 4.195 -3.747
F O V Mg
5 7 4 1
direct
0.691 0.543 0.777
0.389 0.765 0.517
0.688 0.955 0.199
0.290 0.438 0.180
0.333 0.077 0.829
0.062 0.762 0.999
0.203 0.051 0.261
0.199 0.466 0.711
0.874 0.237 0.991
0.816 0.954 0.692
0.565 0.247 0.463
0.758 0.551 0.270
0.561 0.002 0.543
0.023 0.995 0.032
0.000 0.489 0.953
0.524 0.505 0.475
0.511 0.213 0.106
```

Results
Total magnetic moment: 3.00 μB per cell

***

(ii)
DFT (PBE+U) results for MgV4O7F5 after structural relaxation.

POSCAR file:
```
MgV4O7F5
1.0
4.351 2.215 -1.981
-3.029 0.572 -6.601
-1.628 4.923 1.495
F V O Mg
5 4 7 1
direct
0.204 0.059 0.308
0.804 0.944 0.681
0.322 0.424 0.187
0.671 0.541 0.826
0.812 0.533 0.313
0.023 0.988 0.989
0.518 0.017 0.484
0.487 0.523 0.506
0.002 0.490 0.981
0.201 0.460 0.721
0.680 0.978 0.210
0.057 0.753 0.021
0.316 0.045 0.804
0.416 0.748 0.488
0.579 0.252 0.537
0.889 0.245 0.995
0.520 0.252 0.934
```

Results
Total magnetic moment: 3.00 μB per cell

***

Here are the energies relative to the best structure, in meV per atom: (i) 15; (ii) 0.